Entry 1:
PaSe3: optimized geometry, meta-GGA r2SCAN.

Summary:
* M_tot: 0.0000 μB/atom
* E_form: -0.9504 eV per atom
* symmetry: P6_3/mmc (194)

abc: 6.1816 6.1816 5.2004
angles: 90.00 90.00 120.00
Last column: nearest neighbours and their distance in Å.
Sites, in units of the cell vectors:
Pa 0.6667 0.3333 0.2500  12 Se 3.09
Pa 0.3333 0.6667 0.7500  12 Se 3.09
Se 0.8231 0.1769 0.7500  6 Se 2.90-3.22, 4 Pa 3.09
Se 0.3538 0.1769 0.7500  6 Se 2.90-3.22, 4 Pa 3.09
Se 0.8231 0.6462 0.7500  6 Se 2.90-3.22, 4 Pa 3.09
Se 0.1769 0.8231 0.2500  6 Se 2.90-3.22, 4 Pa 3.09
Se 0.6462 0.8231 0.2500  6 Se 2.90-3.22, 4 Pa 3.09
Se 0.1769 0.3538 0.2500  6 Se 2.90-3.22, 4 Pa 3.09

Entry 2:
PaSi3: optimized geometry, meta-GGA r2SCAN.

Summary:
* M_tot: 0.0000 μB/atom
* E_form: -0.3340 eV per atom
* ΔE to the lowest computed polymorph: 7 meV/atom
* symmetry: P6_3/mmc (194)

abc: 5.8938 5.8938 4.4757
angles: 90.00 90.00 120.00
Last column: nearest neighbours and their distance in Å.
Sites, in units of the cell vectors:
Pa 0.6667 0.3333 0.2500  12 Si 2.96-2.97
Pa 0.3333 0.6667 0.7500  12 Si 2.96-2.97
Si 0.8573 0.1427 0.7500  6 Si 2.52-2.67
Si 0.2855 0.1427 0.7500  6 Si 2.52-2.67
Si 0.8573 0.7145 0.7500  6 Si 2.52-2.67
Si 0.1427 0.8573 0.2500  6 Si 2.52-2.67
Si 0.7145 0.8573 0.2500  6 Si 2.52-2.67
Si 0.1427 0.2855 0.2500  6 Si 2.52-2.67